# 1
La2CdPd2, optimized geometry, DFT r2SCAN; space-group type = P4/mbm; theoretical density = 8.1 g/cm3; calculated total energy = -25.90 eV/atom; energy of formation = -4.0 eV/f.u.
1.0
-3.197 6.698 2.705
-3.646 -4.050 5.719
3.133 0.536 2.377
La Cd Pd
4 2 4
Direct
0.824 0.676 0.500 La
0.324 0.824 0.500 La
0.676 0.176 0.500 La
0.176 0.324 0.500 La
0.000 0.000 0.000 Cd
0.500 0.500 0.000 Cd
0.627 0.873 0.000 Pd
0.373 0.127 0.000 Pd
0.127 0.627 0.000 Pd
0.873 0.373 0.000 Pd

# 2
Sr5Bi3, optimized geometry, DFT r2SCAN; space-group type = Pnma; theoretical density = 5.7 g/cm3; calculated total energy = -32.45 eV/atom; energy of formation = -8.3 eV/f.u.
1.0
0.000 0.000 -8.949
0.000 -10.270 0.000
-13.610 0.000 0.000
Sr Bi
20 12
Direct
0.348 0.250 0.293 Sr
0.964 0.250 0.505 Sr
0.848 0.750 0.207 Sr
0.536 0.250 0.005 Sr
0.178 0.750 0.775 Sr
0.808 0.540 0.922 Sr
0.308 0.460 0.578 Sr
0.192 0.460 0.078 Sr
0.036 0.750 0.495 Sr
0.808 0.960 0.922 Sr
0.822 0.250 0.225 Sr
0.692 0.540 0.422 Sr
0.464 0.750 0.995 Sr
0.678 0.250 0.725 Sr
0.152 0.250 0.793 Sr
0.652 0.750 0.707 Sr
0.322 0.750 0.275 Sr
0.308 0.040 0.578 Sr
0.692 0.960 0.422 Sr
0.192 0.040 0.078 Sr
0.937 0.512 0.671 Bi
0.424 0.750 0.515 Bi
0.563 0.988 0.171 Bi
0.563 0.512 0.171 Bi
0.576 0.250 0.485 Bi
0.937 0.988 0.671 Bi
0.076 0.750 0.015 Bi
0.437 0.012 0.829 Bi
0.063 0.488 0.329 Bi
0.924 0.250 0.985 Bi
0.063 0.012 0.329 Bi
0.437 0.488 0.829 Bi

# 3
MnAl2Te4, optimized geometry, DFT r2SCAN; space-group type = I-42m; theoretical density = 4.6 g/cm3; calculated total energy = -19.13 eV/atom; energy of formation = -4.1 eV/f.u.
1.0
5.958 0.001 0.000
0.001 5.958 0.000
-2.980 -2.980 6.304
Al Te Mn
2 4 1
Direct
0.750 0.250 0.500 Al
0.250 0.750 0.500 Al
0.390 0.390 0.247 Te
0.143 0.610 0.753 Te
0.856 0.856 0.247 Te
0.610 0.143 0.753 Te
0.000 0.000 0.000 Mn

# 4
YZn12, optimized geometry, DFT r2SCAN; space-group type = C2/m; theoretical density = 7.4 g/cm3; calculated total energy = -9.99 eV/atom; energy of formation = -2.7 eV/f.u.
1.0
4.690 0.000 1.940
2.344 6.220 0.972
-0.033 0.002 6.718
Zn Y
12 1
Direct
0.644 0.355 0.355 Zn
0.283 0.217 0.217 Zn
0.000 0.000 0.500 Zn
0.500 0.500 0.000 Zn
0.000 0.645 0.355 Zn
0.000 0.500 0.000 Zn
0.356 0.645 0.645 Zn
0.000 0.355 0.645 Zn
0.717 0.783 0.783 Zn
0.500 0.000 0.500 Zn
0.500 0.783 0.217 Zn
0.500 0.217 0.783 Zn
0.000 0.000 0.000 Y

# 5
K2TaF7, optimized geometry, DFT r2SCAN; space-group type = Pnma; theoretical density = 4.1 g/cm3; energy relative to the lowest polymorph listed for this composition = 0.14 eV/f.u.; calculated total energy = -11.67 eV/atom; energy of formation = -34.2 eV/f.u.
1.0
-2.163 -4.601 -2.627
3.548 -5.624 6.929
-9.770 1.186 5.965
K F Ta
8 28 4
Direct
0.250 0.370 0.546 K
0.750 0.630 0.454 K
0.750 0.049 0.665 K
0.250 0.951 0.335 K
0.750 0.130 0.046 K
0.250 0.451 0.165 K
0.750 0.549 0.835 K
0.250 0.870 0.954 K
0.972 0.912 0.149 F
0.028 0.088 0.851 F
0.973 0.640 0.045 F
0.959 0.194 0.247 F
0.528 0.412 0.351 F
0.472 0.588 0.649 F
0.750 0.345 0.527 F
0.027 0.360 0.955 F
0.250 0.655 0.473 F
0.459 0.806 0.753 F
0.041 0.306 0.747 F
0.750 0.845 0.973 F
0.473 0.360 0.955 F
0.528 0.912 0.149 F
0.028 0.588 0.649 F
0.027 0.860 0.545 F
0.250 0.155 0.027 F
0.527 0.140 0.455 F
0.541 0.194 0.247 F
0.459 0.306 0.747 F
0.473 0.860 0.545 F
0.541 0.694 0.253 F
0.041 0.806 0.753 F
0.973 0.140 0.455 F
0.972 0.412 0.351 F
0.959 0.694 0.253 F
0.527 0.640 0.045 F
0.472 0.088 0.851 F
0.750 0.758 0.130 Ta
0.250 0.742 0.630 Ta
0.250 0.242 0.870 Ta
0.750 0.258 0.370 Ta

# 6
LuSiRu, optimized geometry, DFT r2SCAN; space-group type = Pnma; theoretical density = 9.9 g/cm3; calculated total energy = -25.03 eV/atom; energy of formation = -2.8 eV/f.u.
1.0
4.238 0.000 0.000
0.000 6.838 0.000
0.000 0.000 7.035
Ru Si Lu
4 4 4
Direct
0.250 0.655 0.936 Ru
0.250 0.155 0.564 Ru
0.750 0.845 0.436 Ru
0.750 0.345 0.064 Ru
0.250 0.801 0.607 Si
0.750 0.699 0.107 Si
0.250 0.301 0.893 Si
0.750 0.199 0.393 Si
0.750 0.010 0.811 Lu
0.750 0.510 0.689 Lu
0.250 0.990 0.189 Lu
0.250 0.490 0.311 Lu

# 7
K2SnO2, optimized geometry, DFT r2SCAN; space-group type = P-1; theoretical density = 3.5 g/cm3; calculated total energy = -11.31 eV/atom; energy of formation = -7.8 eV/f.u.
1.0
-0.302 -5.695 9.223
2.059 -3.545 -6.263
4.668 4.452 3.169
K O Sn
8 8 4
Direct
0.186 0.252 0.996 K
0.175 0.720 0.482 K
0.825 0.280 0.518 K
0.863 0.289 0.036 K
0.137 0.711 0.964 K
0.509 0.765 0.498 K
0.814 0.748 0.004 K
0.491 0.235 0.502 K
0.008 0.197 0.694 O
0.017 0.231 0.280 O
0.650 0.248 0.797 O
0.350 0.752 0.203 O
0.992 0.803 0.306 O
0.624 0.140 0.174 O
0.983 0.769 0.720 O
0.376 0.860 0.826 O
0.527 0.232 0.011 Sn
0.473 0.768 0.989 Sn
0.875 0.819 0.548 Sn
0.125 0.181 0.452 Sn

# 8
Rb2V3O8, optimized geometry, DFT r2SCAN; space-group type = P4bm; theoretical density = 3.4 g/cm3; energy relative to the lowest polymorph listed for this composition = 0.00 eV/f.u.; calculated total energy = -11.63 eV/atom; energy of formation = -33.2 eV/f.u.
1.0
8.902 0.000 0.000
0.000 8.902 0.000
0.000 0.000 5.596
V O Rb
6 16 4
Direct
0.000 0.000 0.535 V
0.634 0.134 0.526 V
0.366 0.866 0.526 V
0.134 0.366 0.526 V
0.866 0.634 0.526 V
0.500 0.500 0.535 V
0.916 0.808 0.636 O
0.416 0.692 0.636 O
0.131 0.369 0.232 O
0.369 0.869 0.232 O
0.808 0.084 0.636 O
0.084 0.192 0.636 O
0.692 0.584 0.636 O
0.000 0.500 0.641 O
0.500 0.500 0.245 O
0.000 0.000 0.245 O
0.631 0.131 0.232 O
0.869 0.631 0.232 O
0.584 0.308 0.636 O
0.500 0.000 0.641 O
0.308 0.416 0.636 O
0.192 0.916 0.636 O
0.331 0.169 0.001 Rb
0.831 0.331 0.001 Rb
0.169 0.669 0.001 Rb
0.669 0.831 0.001 Rb

# 9
SmNi5, optimized geometry, DFT r2SCAN; space-group type = P6/mmm; theoretical density = 9.1 g/cm3; calculated total energy = -15.21 eV/atom; energy of formation = -1.6 eV/f.u.
1.0
4.884 0.000 0.000
-2.442 4.230 0.000
0.000 0.000 3.919
Ni Sm
5 1
Direct
0.500 0.500 0.500 Ni
0.667 0.333 0.000 Ni
0.000 0.500 0.500 Ni
0.333 0.667 0.000 Ni
0.500 0.000 0.500 Ni
0.000 0.000 0.000 Sm

# 10
Pm3Sc, optimized geometry, DFT r2SCAN; space-group type = I4/mmm; theoretical density = 6.3 g/cm3; energy relative to the lowest polymorph listed for this composition = 0.07 eV/f.u.; calculated total energy = -24.95 eV/atom; energy of formation = 0.2 eV/f.u.
1.0
-0.093 -6.091 -0.422
1.720 -2.298 5.390
-4.233 4.172 -1.402
Pm Sc
3 1
Direct
0.500 0.500 0.000 Pm
0.750 0.250 0.500 Pm
0.250 0.750 0.500 Pm
0.000 0.000 0.000 Sc

# 11
CaSiO3, optimized geometry, DFT r2SCAN; space-group type = R-3; theoretical density = 3.7 g/cm3; calculated total energy = -9.77 eV/atom; energy of formation = -15.1 eV/f.u.
1.0
-4.120 2.584 3.130
0.379 2.666 5.118
-0.680 5.592 1.308
O Si Ca
6 2 2
Direct
0.971 0.562 0.170 O
0.830 0.029 0.438 O
0.170 0.971 0.562 O
0.029 0.438 0.830 O
0.562 0.170 0.971 O
0.438 0.830 0.029 O
0.838 0.838 0.838 Si
0.162 0.162 0.162 Si
0.634 0.634 0.634 Ca
0.366 0.366 0.366 Ca

# 12
Sm3Ga2, optimized geometry, DFT r2SCAN; space-group type = I4/mcm; theoretical density = 7.3 g/cm3; calculated total energy = -23.02 eV/atom; energy of formation = -3.0 eV/f.u.
1.0
8.982 -2.639 -6.353
-6.961 -8.478 2.772
-7.958 6.428 -4.831
Sm Ga
24 16
Direct
0.500 0.649 0.149 Sm
0.868 0.934 0.665 Sm
0.500 0.165 0.335 Sm
0.132 0.066 0.335 Sm
0.831 0.665 0.165 Sm
0.269 0.434 0.566 Sm
0.269 0.335 0.203 Sm
0.269 0.066 0.934 Sm
0.731 0.297 0.165 Sm
0.731 0.566 0.434 Sm
0.269 0.703 0.835 Sm
0.132 0.797 0.066 Sm
0.868 0.203 0.934 Sm
0.731 0.934 0.066 Sm
0.169 0.335 0.835 Sm
0.731 0.665 0.797 Sm
0.868 0.434 0.703 Sm
0.868 0.165 0.434 Sm
0.132 0.835 0.566 Sm
0.500 0.351 0.851 Sm
0.500 0.851 0.351 Sm
0.500 0.835 0.665 Sm
0.500 0.149 0.649 Sm
0.132 0.566 0.297 Sm
0.500 0.385 0.115 Ga
0.859 0.478 0.978 Ga
0.000 0.000 0.000 Ga
0.859 0.881 0.381 Ga
0.000 0.750 0.750 Ga
0.500 0.619 0.478 Ga
0.000 0.250 0.250 Ga
0.141 0.119 0.619 Ga
0.500 0.022 0.881 Ga
0.141 0.522 0.022 Ga
0.270 0.885 0.385 Ga
0.000 0.500 0.500 Ga
0.730 0.115 0.615 Ga
0.500 0.978 0.119 Ga
0.500 0.381 0.522 Ga
0.500 0.615 0.885 Ga

# 13
HoCrO4, optimized geometry, DFT r2SCAN; space-group type = I4_1/a; theoretical density = 6.7 g/cm3; calculated total energy = -14.82 eV/atom; energy of formation = -17.1 eV/f.u.
1.0
3.759 -1.973 5.058
4.743 4.214 1.832
-6.483 0.411 -1.189
O Ho Cr
8 2 2
Direct
0.086 0.183 0.613 O
0.569 0.473 0.387 O
0.527 0.914 0.097 O
0.664 0.067 0.887 O
0.223 0.336 0.403 O
0.933 0.819 0.597 O
0.817 0.431 0.903 O
0.181 0.777 0.113 O
0.250 0.750 0.500 Ho
0.500 0.500 0.000 Ho
0.000 0.000 0.000 Cr
0.750 0.250 0.500 Cr

# 14
Sb2Os, optimized geometry, DFT r2SCAN; space-group type = Pnnm; theoretical density = 11.1 g/cm3; calculated total energy = -34.88 eV/atom; energy of formation = -0.3 eV/f.u.
1.0
3.243 0.000 0.000
0.000 5.965 0.000
0.000 0.000 6.724
Sb Os
4 2
Direct
0.500 0.318 0.858 Sb
0.000 0.818 0.642 Sb
0.000 0.182 0.358 Sb
0.500 0.682 0.142 Sb
0.500 0.500 0.500 Os
0.000 0.000 0.000 Os

# 15
Ca3Mn2O7, optimized geometry, DFT r2SCAN; space-group type = Cmc2_1; theoretical density = 4.3 g/cm3; calculated total energy = -10.44 eV/atom; energy of formation = -33.0 eV/f.u.
1.0
0.000 0.000 -5.253
0.000 -5.249 0.000
-9.674 -2.625 0.000
Ca O Mn
6 14 4
Direct
0.223 0.568 0.373 Ca
0.723 0.059 0.373 Ca
0.223 0.941 0.627 Ca
0.282 0.753 0.000 Ca
0.782 0.247 0.000 Ca
0.723 0.432 0.627 Ca
0.754 0.986 0.609 O
0.241 0.307 0.000 O
0.963 0.570 0.785 O
0.463 0.430 0.215 O
0.254 0.405 0.609 O
0.963 0.354 0.215 O
0.539 0.125 0.827 O
0.463 0.646 0.785 O
0.754 0.595 0.391 O
0.039 0.048 0.827 O
0.254 0.014 0.391 O
0.539 0.952 0.173 O
0.740 0.693 0.000 O
0.039 0.875 0.173 O
0.750 0.848 0.804 Mn
0.250 0.152 0.196 Mn
0.750 0.652 0.196 Mn
0.250 0.348 0.804 Mn

# 16
ErB2Ru, optimized geometry, DFT r2SCAN; space-group type = Pnma; theoretical density = 9.9 g/cm3; calculated total energy = -19.21 eV/atom; energy of formation = -2.8 eV/f.u.
1.0
5.270 0.000 0.000
0.000 5.850 0.000
0.000 0.000 6.307
Er B Ru
4 8 4
Direct
0.250 0.510 0.836 Er
0.250 0.010 0.664 Er
0.750 0.990 0.336 Er
0.750 0.490 0.164 Er
0.084 0.867 0.038 B
0.916 0.133 0.962 B
0.584 0.133 0.962 B
0.416 0.867 0.038 B
0.584 0.633 0.538 B
0.916 0.633 0.538 B
0.084 0.367 0.462 B
0.416 0.367 0.462 B
0.750 0.319 0.682 Ru
0.250 0.681 0.318 Ru
0.750 0.819 0.818 Ru
0.250 0.181 0.182 Ru

# 17
Nd2EuS4, optimized geometry, DFT r2SCAN; space-group type = I-42d; theoretical density = 5.9 g/cm3; calculated total energy = -20.91 eV/atom; energy of formation = -16.8 eV/f.u.
1.0
-4.321 4.321 4.309
4.321 -4.321 4.309
4.321 4.321 -4.309
S Nd Eu
8 4 2
Direct
0.369 0.269 0.250 S
0.519 0.119 0.750 S
0.230 0.481 0.600 S
0.881 0.631 0.400 S
0.881 0.631 0.900 S
0.731 0.980 0.100 S
0.020 0.119 0.750 S
0.369 0.770 0.250 S
0.125 0.003 0.378 Nd
0.997 0.375 0.122 Nd
0.625 0.747 0.622 Nd
0.253 0.875 0.878 Nd
0.500 0.500 0.000 Eu
0.750 0.250 0.500 Eu